DFT (meta-GGA r2SCAN) results for a relaxed HoBiPt crystal.

a b c (Å): 4.719 4.719 4.719
angles (deg): 60.00 60.00 60.00
Element x y z (fractional)
Ho1 0.500 0.500 0.500
Bi1 0.000 0.000 0.000
Pt1 0.250 0.250 0.250

Output
- Total moment: 0.0 μB per cell
- DFT total energy: -48.80 eV per atom

DFT (meta-GGA r2SCAN) results for a relaxed Cd3Se4 crystal.

a b c (Å): 9.234 12.788 10.218
angles (deg): 119.04 90.00 111.17
Element x y z (fractional)
Cd1 0.091 0.432 0.099
Cd2 0.005 0.341 0.659
Cd3 0.346 0.739 0.175
Cd4 0.259 0.777 0.780
Cd5 0.548 0.101 0.216
Cd6 0.419 0.089 0.857
Cd7 0.674 0.432 0.099
Cd8 0.670 0.341 0.659
Cd9 0.886 0.101 0.216
Cd10 0.003 0.089 0.857
Cd11 0.726 0.739 0.175
Cd12 0.851 0.777 0.780
Se1 0.094 0.252 0.151
Se2 0.182 0.294 0.808
Se3 0.127 0.663 0.323
Se4 0.056 0.520 0.585
Se5 0.118 0.903 0.709
Se6 0.491 0.252 0.151
Se7 0.445 0.294 0.808
Se8 0.469 0.605 0.215
Se9 0.307 0.874 0.076
Se10 0.480 0.886 0.658
Se11 0.730 0.127 0.439
Se12 0.827 0.321 0.870
Se13 0.869 0.663 0.323
Se14 0.797 0.520 0.585
Se15 0.901 0.874 0.076
Se16 0.739 0.886 0.658

Output
- Total moment: 0.0 μB per cell
- DFT total energy: -17.15 eV per atom

DFT (meta-GGA r2SCAN) results for a relaxed K2MoS4 crystal.

a b c (Å): 6.900 9.422 12.233
angles (deg): 90.00 90.00 90.00
Element x y z (fractional)
K1 0.750 0.045 0.836
K2 0.250 0.955 0.164
K3 0.750 0.545 0.664
K4 0.250 0.455 0.336
K5 0.250 0.156 0.611
K6 0.750 0.844 0.389
K7 0.250 0.656 0.889
K8 0.750 0.344 0.111
Mo1 0.750 0.754 0.067
Mo2 0.250 0.246 0.933
Mo3 0.750 0.254 0.433
Mo4 0.250 0.746 0.567
S1 0.250 0.780 0.390
S2 0.750 0.220 0.610
S3 0.250 0.280 0.110
S4 0.750 0.720 0.890
S5 0.495 0.152 0.363
S6 0.995 0.848 0.637
S7 0.005 0.652 0.137
S8 0.505 0.348 0.863
S9 0.505 0.848 0.637
S10 0.005 0.152 0.363
S11 0.995 0.348 0.863
S12 0.495 0.652 0.137
S13 0.750 0.981 0.108
S14 0.250 0.019 0.892
S15 0.750 0.481 0.392
S16 0.250 0.519 0.608

Output
- Total moment: 0.0 μB per cell
- DFT total energy: -11.14 eV per atom